A plane-wave DFT calculation with PBE was carried out for a relaxed RbNdTiNbO6F crystal.

Lattice parameters (Å, degrees): 3.8527 3.8527 11.3513 90.00 90.00 90.00
Closest atoms and distances in Å follow each position.
Fractional coordinates of all 11 atoms:
Rb (0.0000, 0.0000, 0.0000)  8 O 3.10-3.17
Nd (0.0000, 0.0000, 0.4647)  4 O 2.43
Ti (0.5000, 0.5000, 0.2799)  1 O 1.70
Nb (0.5000, 0.5000, 0.6983)  1 O 1.79
O (0.0000, 0.5000, 0.3337)  2 Ti 2.02
O (0.0000, 0.5000, 0.6478)  2 Nb 2.01
O (0.5000, 0.0000, 0.3337)  2 Ti 2.02
O (0.5000, 0.0000, 0.6478)  2 Nb 2.01
O (0.5000, 0.5000, 0.1301)  1 Ti 1.70
O (0.5000, 0.5000, 0.8564)  1 Nb 1.79
F (0.5000, 0.5000, 0.4902)  1 Nb 2.36, 1 Ti 2.39, 8 O 2.62-2.63

Results
DFT formation energy, eV/atom: -3.36
V, Å³ per atom: 15.3
Symmetry: P4mm, No. 99

***

A plane-wave DFT calculation with PBE was carried out for a relaxed Nb3O5F5 crystal.

Lattice parameters (Å, degrees): 12.5064 12.5064 12.5064 161.74 161.35 26.22
Closest atoms and distances in Å follow each position.
Fractional coordinates of all 13 atoms:
Nb (0.0000, 0.0000, 0.0000)  4 O 1.95-2.03, 2 F 1.98
Nb (0.1600, 0.1600, 0.0000)  3 F 1.92-2.03, 3 O 1.95-1.98
Nb (0.8400, 0.8400, 0.0000)  3 F 1.92-2.03, 3 O 1.95-1.98
O (0.0801, 0.0801, 0.0000)  2 Nb 1.95
O (0.1594, 0.6594, 0.5000)  2 Nb 1.98
O (0.5000, 0.0000, 0.5000)  2 Nb 2.03
O (0.8406, 0.3406, 0.5000)  2 Nb 1.98
O (0.9199, 0.9199, 0.0000)  2 Nb 1.95
F (0.0000, 0.5000, 0.5000)  2 Nb 1.98
F (0.2388, 0.2388, 0.0000)  1 Nb 1.92
F (0.3405, 0.8405, 0.5000)  2 Nb 2.03
F (0.6595, 0.1595, 0.5000)  2 Nb 2.03
F (0.7612, 0.7612, 0.0000)  1 Nb 1.92

Results
DFT formation energy, eV/atom: -3.10
V, Å³ per atom: 15.1
Symmetry: Immm, No. 71

***

A plane-wave DFT calculation with PBE was carried out for a relaxed Nb5O12F crystal.

Lattice parameters (Å, degrees): 18.3782 3.8922 6.3789 90.00 90.00 90.00
Closest atoms and distances in Å follow each position.
Fractional coordinates of all 36 atoms:
Nb (0.0634, 0.0000, 0.1910)  5 O 1.95-2.09
Nb (0.1452, 0.0000, 0.7274)  6 O 1.96-2.05
Nb (0.2500, 0.0000, 0.2819)  6 O 1.95-2.11
Nb (0.3548, 0.0000, 0.7274)  6 O 1.96-2.05
Nb (0.4366, 0.0000, 0.1910)  5 O 1.95-2.09
Nb (0.5634, 0.0000, 0.8090)  5 O 1.95-2.09
Nb (0.6452, 0.0000, 0.2726)  6 O 1.96-2.05
Nb (0.7500, 0.0000, 0.7181)  6 O 1.95-2.11
Nb (0.8548, 0.0000, 0.2726)  6 O 1.96-2.05
Nb (0.9366, 0.0000, 0.8090)  5 O 1.95-2.09
O (0.0477, 0.0000, 0.8761)  3 Nb 2.03-2.09
O (0.0596, 0.5000, 0.2070)  2 Nb 1.95
O (0.1337, 0.5000, 0.7076)  2 Nb 1.96
O (0.1439, 0.0000, 0.4061)  3 Nb 2.02-2.10
O (0.1740, 0.0000, 0.0345)  3 Nb 2.03-2.26
O (0.2500, 0.0000, 0.6453)  2 Nb 2.00
O (0.2500, 0.5000, 0.2956)  2 Nb 1.95
O (0.3260, 0.0000, 0.0345)  3 Nb 2.03-2.26
O (0.3561, 0.0000, 0.4061)  3 Nb 2.02-2.10
O (0.3663, 0.5000, 0.7076)  2 Nb 1.96
O (0.4404, 0.5000, 0.2070)  2 Nb 1.95
O (0.4523, 0.0000, 0.8761)  3 Nb 2.03-2.09
O (0.5477, 0.0000, 0.1239)  3 Nb 2.03-2.09
O (0.5596, 0.5000, 0.7930)  2 Nb 1.95
O (0.6337, 0.5000, 0.2924)  2 Nb 1.96
O (0.6439, 0.0000, 0.5939)  3 Nb 2.02-2.10
O (0.6740, 0.0000, 0.9655)  3 Nb 2.03-2.26
O (0.7500, 0.0000, 0.3547)  2 Nb 2.00
O (0.7500, 0.5000, 0.7044)  2 Nb 1.95
O (0.8260, 0.0000, 0.9655)  3 Nb 2.03-2.26
O (0.8561, 0.0000, 0.5939)  3 Nb 2.02-2.10
O (0.8663, 0.5000, 0.2924)  2 Nb 1.96
O (0.9404, 0.5000, 0.7930)  2 Nb 1.95
O (0.9523, 0.0000, 0.1239)  3 Nb 2.03-2.09
F (0.0000, 0.0000, 0.5000)  2 Nb 2.29, 2 O 2.55
F (0.5000, 0.0000, 0.5000)  2 Nb 2.29, 2 O 2.55

Results
DFT formation energy, eV/atom: -3.02
V, Å³ per atom: 12.7
Symmetry: Pmma, No. 51

***

A plane-wave DFT calculation with PBE was carried out for a relaxed Nb2O2F3 crystal.

Lattice parameters (Å, degrees): 5.2643 5.7994 7.0272 108.13 110.43 90.28
Closest atoms and distances in Å follow each position.
Fractional coordinates of all 14 atoms:
Nb (0.0777, 0.1867, 0.1792)  3 O 1.98-2.08, 3 F 2.11-2.15
Nb (0.4112, 0.3144, 0.8204)  3 O 1.99-2.09, 3 F 2.10-2.15
Nb (0.5888, 0.6856, 0.1796)  3 O 1.99-2.09, 3 F 2.10-2.15
Nb (0.9223, 0.8133, 0.8208)  3 O 1.98-2.08, 3 F 2.11-2.15
O (0.1623, 0.1392, 0.9026)  3 Nb 1.99-2.08
O (0.2464, 0.6407, 0.9022)  3 Nb 1.98-2.09
O (0.7536, 0.3593, 0.0978)  3 Nb 1.98-2.09
O (0.8377, 0.8608, 0.0974)  3 Nb 1.99-2.08
F (0.1159, 0.2489, 0.5032)  2 Nb 2.13-2.14
F (0.3374, 0.5274, 0.2939)  2 Nb 2.10-2.15
F (0.4346, 0.0243, 0.2878)  2 Nb 2.11-2.15
F (0.5654, 0.9757, 0.7122)  2 Nb 2.11-2.15
F (0.6626, 0.4726, 0.7061)  2 Nb 2.10-2.15
F (0.8841, 0.7511, 0.4968)  2 Nb 2.13-2.14

Results
DFT formation energy, eV/atom: -3.06
V, Å³ per atom: 13.5
Symmetry: P-1, No. 2

***

A plane-wave DFT calculation with PBE was carried out for a relaxed Nb2OF8 crystal.

Lattice parameters (Å, degrees): 9.3901 5.4574 15.6964 90.00 104.36 90.00
Closest atoms and distances in Å follow each position.
Fractional coordinates of all 44 atoms:
Nb (0.0361, 0.0664, 0.1553)  1 O 1.79, 2 F 1.88-1.89
Nb (0.0361, 0.9336, 0.6553)  1 O 1.79, 2 F 1.88-1.89
Nb (0.4066, 0.1987, 0.6229)  4 F 1.88-1.90
Nb (0.4066, 0.8013, 0.1229)  4 F 1.88-1.90
Nb (0.5934, 0.1987, 0.8771)  4 F 1.88-1.90
Nb (0.5934, 0.8013, 0.3771)  4 F 1.88-1.90
Nb (0.9639, 0.0664, 0.3447)  1 O 1.79, 2 F 1.88-1.89
Nb (0.9639, 0.9336, 0.8447)  1 O 1.79, 2 F 1.88-1.89
O (0.2050, 0.0555, 0.6396)  1 Nb 1.79
O (0.2050, 0.9445, 0.1396)  1 Nb 1.79
O (0.7950, 0.0555, 0.8604)  1 Nb 1.79
O (0.7950, 0.9445, 0.3604)  1 Nb 1.79
F (0.0000, 0.1918, 0.7500)  2 Nb 2.14
F (0.0000, 0.8082, 0.2500)  2 Nb 2.14
F (0.0269, 0.3763, 0.1018)  1 Nb 1.88
F (0.0269, 0.6237, 0.6018)  1 Nb 1.88
F (0.1044, 0.1039, 0.9315)  1 Nb 1.89
F (0.1044, 0.8961, 0.4315)  1 Nb 1.89
F (0.1349, 0.1975, 0.2796)  2 Nb 2.07-2.22
F (0.1349, 0.8025, 0.7796)  2 Nb 2.07-2.22
F (0.3032, 0.3271, 0.5142)  1 Nb 1.88
F (0.3032, 0.6729, 0.0142)  1 Nb 1.88
F (0.3606, 0.4584, 0.6923)  1 Nb 1.90
F (0.3606, 0.5416, 0.1923)  1 Nb 1.90
F (0.4052, 0.3047, 0.8821)  1 Nb 1.88
F (0.4052, 0.6953, 0.3821)  1 Nb 1.88
F (0.4325, 0.1241, 0.0842)  1 Nb 1.90
F (0.4325, 0.8759, 0.5842)  1 Nb 1.90
F (0.5000, 0.0502, 0.7500)  2 Nb 2.13
F (0.5000, 0.9498, 0.2500)  2 Nb 2.13
F (0.5675, 0.1241, 0.4158)  1 Nb 1.90
F (0.5675, 0.8759, 0.9158)  1 Nb 1.90
F (0.5948, 0.3047, 0.6179)  1 Nb 1.88
F (0.5948, 0.6953, 0.1179)  1 Nb 1.88
F (0.6394, 0.4584, 0.8077)  1 Nb 1.90
F (0.6394, 0.5416, 0.3077)  1 Nb 1.90
F (0.6968, 0.3271, 0.9858)  1 Nb 1.88
F (0.6968, 0.6729, 0.4858)  1 Nb 1.88
F (0.8651, 0.1975, 0.2204)  2 Nb 2.07-2.22
F (0.8651, 0.8025, 0.7204)  2 Nb 2.07-2.22
F (0.8956, 0.1039, 0.5685)  1 Nb 1.89
F (0.8956, 0.8961, 0.0685)  1 Nb 1.89
F (0.9731, 0.3763, 0.3982)  1 Nb 1.88
F (0.9731, 0.6237, 0.8982)  1 Nb 1.88

Results
DFT formation energy, eV/atom: -3.31
V, Å³ per atom: 17.7
Symmetry: P2/c, No. 13

***

A plane-wave DFT calculation with PBE was carried out for a relaxed Nb3O7F crystal.

Lattice parameters (Å, degrees): 16.0288 10.5228 3.8859 90.00 90.00 90.00
Closest atoms and distances in Å follow each position.
Fractional coordinates of all 44 atoms:
Nb (0.0361, 0.2500, 0.0446)  3 O 1.83-1.97
Nb (0.1668, 0.5505, 0.0015)  4 O 1.83-2.03
Nb (0.1668, 0.9495, 0.0015)  4 O 1.83-2.03
Nb (0.3332, 0.0505, 0.5015)  4 O 1.83-2.03
Nb (0.3332, 0.4495, 0.5015)  4 O 1.83-2.03
Nb (0.4639, 0.7500, 0.5446)  3 O 1.83-1.97
Nb (0.5361, 0.2500, 0.4554)  3 O 1.83-1.97
Nb (0.6669, 0.5505, 0.4985)  4 O 1.83-2.03
Nb (0.6669, 0.9495, 0.4985)  4 O 1.83-2.03
Nb (0.8332, 0.0505, 0.9985)  4 O 1.83-2.03
Nb (0.8332, 0.4495, 0.9985)  4 O 1.83-2.03
Nb (0.9639, 0.7500, 0.9554)  3 O 1.83-1.97
O (0.0291, 0.2500, 0.5155)  1 Nb 1.83
O (0.0636, 0.6247, 0.9918)  1 Nb 1.83
O (0.0636, 0.8753, 0.9918)  1 Nb 1.83
O (0.1201, 0.1134, 0.0090)  2 Nb 1.88-1.97
O (0.1201, 0.3866, 0.0090)  2 Nb 1.88-1.97
O (0.2032, 0.5432, 0.5027)  2 Nb 2.03
O (0.2032, 0.9568, 0.5027)  2 Nb 2.03
O (0.2968, 0.0432, 0.0027)  2 Nb 2.03
O (0.2968, 0.4568, 0.0027)  2 Nb 2.03
O (0.3799, 0.6134, 0.5090)  2 Nb 1.88-1.97
O (0.3799, 0.8866, 0.5090)  2 Nb 1.88-1.97
O (0.4364, 0.1247, 0.4918)  1 Nb 1.83
O (0.4364, 0.3753, 0.4918)  1 Nb 1.83
O (0.4709, 0.7500, 0.0155)  1 Nb 1.83
O (0.5291, 0.2500, 0.9845)  1 Nb 1.83
O (0.5636, 0.6247, 0.5082)  1 Nb 1.83
O (0.5636, 0.8753, 0.5082)  1 Nb 1.83
O (0.6201, 0.1134, 0.4910)  2 Nb 1.88-1.97
O (0.6201, 0.3866, 0.4910)  2 Nb 1.88-1.97
O (0.7032, 0.5432, 0.9973)  2 Nb 2.03
O (0.7032, 0.9568, 0.9973)  2 Nb 2.03
O (0.7968, 0.0432, 0.4973)  2 Nb 2.03
O (0.7968, 0.4568, 0.4973)  2 Nb 2.03
O (0.8799, 0.6134, 0.9910)  2 Nb 1.88-1.97
O (0.8799, 0.8866, 0.9910)  2 Nb 1.88-1.97
O (0.9364, 0.1247, 0.0082)  1 Nb 1.83
O (0.9364, 0.3753, 0.0082)  1 Nb 1.83
O (0.9709, 0.7500, 0.4845)  1 Nb 1.83
F (0.2135, 0.7500, 0.0053)  2 Nb 2.23
F (0.2865, 0.2500, 0.5053)  2 Nb 2.23
F (0.7135, 0.7500, 0.4947)  2 Nb 2.23
F (0.7865, 0.2500, 0.9947)  2 Nb 2.23

Results
Relative energy among the computed polymorphs, kJ/mol of atoms: 0.00
DFT formation energy, eV/atom: -3.07
V, Å³ per atom: 14.9
Symmetry: Pnma, No. 62

***

Number 1: size of the total moment 0.00 μB per formula unit. Number 2: size of the total moment 0.00 μB per formula unit. Number 3: size of the total moment 0.00 μB per formula unit. Number 4: size of the total moment 1.00 μB per formula unit. Number 5: size of the total moment 0.00 μB per formula unit. Number 6: size of the total moment 0.00 μB per formula unit.